First-principles (GGA-PBE) data for a geometry-optimized Ni3Sn structure, as listed in the Materials Project database.

Properties
Calculated volume (Å³/cell): 207.77
Uncorrected energy (eV/atom): -5.474
ΔH_f (0 K) (eV/atom): -0.14

Unit cell a=5.9228 b=5.9228 c=5.9228 alpha=90.00 beta=90.00 gamma=90.00
Last column: nearest neighbours and their distance in Å.
Space group Fm-3m (No. 225)
Asymmetric unit:
Ni  0.0000  0.0000  0.0000  8 Ni 2.56
Ni  0.2500  0.2500  0.2500  4 Sn 2.56, 4 Ni 2.56
Sn  0.0000  0.0000  0.5000  8 Ni 2.56

First-principles (GGA-PBE) data for a geometry-optimized Ba6Ca12Cu15Hg3O37 structure, as listed in the Materials Project database.

Properties
Calculated volume (Å³/cell): 2001.86
Total energy after the MP2020 corrections (eV/atom): -5.908
Uncorrected energy (eV/atom): -5.560
ΔH_f (0 K) (eV/atom): -2.06
Spin magnetization (μB per formula unit): 0.01

Unit cell a=16.3331 b=5.4585 c=23.1045 alpha=90.00 beta=103.63 gamma=90.00
Last column: nearest neighbours and their distance in Å.
Space group C2/m (No. 12)
Asymmetric unit:
Ba  0.0393  0.0000  0.1180  9 O 2.65-2.95
Ba  0.1246  0.5000  0.8753  8 O 2.78-2.83
Ba  0.2077  0.5000  0.1247  8 O 2.77-2.83
Ca  0.0241  0.5000  0.5724  8 O 2.49-2.52
Ca  0.0723  0.5000  0.7170  8 O 2.42-2.55
Ca  0.0937  0.0000  0.2815  8 O 2.42-2.57
Ca  0.1423  0.0000  0.4274  8 O 2.49-2.53
Ca  0.1907  0.0000  0.5724  8 O 2.49-2.52
Ca  0.2390  0.0000  0.7171  8 O 2.42-2.55
Cu  0.0000  0.0000  0.5000  4 O 1.93
Cu  0.0481  0.0000  0.6443  4 O 1.93
Cu  0.0715  0.5000  0.2145  4 O 1.93
Cu  0.0945  0.0000  0.7848  4 O 1.92-1.93
Cu  0.1185  0.5000  0.3557  4 O 1.92-1.93
Cu  0.1667  0.5000  0.5000  4 O 1.93
Cu  0.2148  0.5000  0.6443  4 O 1.93
Cu  0.2380  0.0000  0.2152  4 O 1.92-1.93
Hg  0.0000  0.5000  0.0000  2 O 2.06
Hg  0.1618  0.0000  0.0000  2 O 2.04-2.05
O  0.0000  0.0000  0.0000  4 Hg 2.64-2.73, 2 Ba 2.65
O  0.0117  0.2516  0.7832  2 Cu 1.92-1.93
O  0.0305  0.5000  0.0916  1 Hg 2.06
O  0.0359  0.2508  0.3575  2 Cu 1.92-1.93
O  0.0834  0.2500  0.5000  2 Cu 1.93
O  0.1309  0.2504  0.6426  2 Cu 1.93
O  0.1401  0.0000  0.9091  1 Hg 2.05
O  0.1563  0.2514  0.2168  2 Cu 1.92-1.93
O  0.1780  0.2502  0.7838  2 Cu 1.93
O  0.2007  0.0000  0.0908  1 Hg 2.04
O  0.2024  0.2504  0.3575  2 Cu 1.93
O  0.2500  0.2500  0.5000  2 Cu 1.93

First-principles (GGA-PBE) data for a geometry-optimized TmHO2 structure, as listed in the Materials Project database.

Properties
Calculated volume (Å³/cell): 187.05
Total energy after the MP2020 corrections (eV/atom): -7.477
Uncorrected energy (eV/atom): -7.134
ΔH_f (0 K) (eV/atom): -3.04

Unit cell a=10.9610 b=3.4793 c=4.9048 alpha=90.00 beta=90.00 gamma=90.00
Last column: nearest neighbours and their distance in Å.
Space group Pnma (No. 62)
Asymmetric unit:
Tm  0.1447  0.2500  0.0676  6 O 2.18-2.37
H  0.0886  0.7500  0.6083  1 O 1.00
O  0.0592  0.7500  0.8014  1 H 1.00
O  0.1928  0.7500  0.3129  1 H 1.85

Copy entry 1 word for word.
First-principles (GGA-PBE) data for a geometry-optimized Ni3Sn structure, as listed in the Materials Project database.

Properties
Calculated volume (Å³/cell): 207.77
Uncorrected energy (eV/atom): -5.474
ΔH_f (0 K) (eV/atom): -0.14

Unit cell a=5.9228 b=5.9228 c=5.9228 alpha=90.00 beta=90.00 gamma=90.00
Last column: nearest neighbours and their distance in Å.
Space group Fm-3m (No. 225)
Asymmetric unit:
Ni  0.0000  0.0000  0.0000  8 Ni 2.56
Ni  0.2500  0.2500  0.2500  4 Sn 2.56, 4 Ni 2.56
Sn  0.0000  0.0000  0.5000  8 Ni 2.56

Look up the uncorrected energy of the third one. -7.134 eV/atom

The highest calculated volume belongs to which entry? Ba6Ca12Cu15Hg3O37